[1]
A plane-wave DFT calculation with GGA-PBE was carried out for crystalline SrNdScO4 at its relaxed geometry.

a = 6.8072 Å, b = 6.8072 Å, c = 5.8769 Å
α = 90.00°, β = 90.00°, γ = 130.37°
Element x y z (fractional)
1 Sr 0.8956 0.1044 0.4866
2 Sr 0.1044 0.8956 0.9866
3 Nd 0.6083 0.3917 0.5142
4 Nd 0.3917 0.6083 0.0142
5 Sc 0.2463 0.7537 0.5048
6 Sc 0.7537 0.2463 0.0048
7 O 0.9165 0.0835 0.0656
8 O 0.5691 0.4309 0.9074
9 O 0.0835 0.9165 0.5656
10 O 0.4309 0.5691 0.4074
11 O 0.9700 0.5169 0.2607
12 O 0.0300 0.4831 0.7607
13 O 0.5169 0.9700 0.7607
14 O 0.4831 0.0300 0.2607

* space group: Cmc2_1 (36)
* formation energy: -3.619 eV/atom

[2]
A plane-wave DFT calculation with GGA-PBE was carried out for crystalline Na12Nb2Zn10Si3S15O72 at its relaxed geometry.

a = 8.8739 Å, b = 8.9279 Å, c = 22.5717 Å
α = 89.54°, β = 90.57°, γ = 119.76°
Element x y z (fractional)
1 Na 0.3009 0.3363 0.5792
2 Na 0.6714 0.9693 0.5905
3 Na 0.2961 0.9685 0.0901
4 Na 0.0305 0.3330 0.0832
5 Na 0.3305 0.0455 0.4097
6 Na 0.6934 0.6566 0.4157
7 Na 0.0094 0.0135 0.4975
8 Na 0.9875 0.9902 0.9956
9 Na 0.6709 0.3211 0.8293
10 Na 0.6528 0.3216 0.3276
11 Na 0.3437 0.6761 0.1648
12 Na 0.3267 0.6710 0.6644
13 Nb 0.3331 0.6617 0.3117
14 Nb 0.3425 0.6738 0.8122
15 Zn 0.0326 0.0330 0.3466
16 Zn 0.9937 0.0033 0.8466
17 Zn 0.9859 0.9869 0.6602
18 Zn 0.0007 0.9853 0.1589
19 Zn 0.6723 0.3245 0.6868
20 Zn 0.6491 0.3212 0.1860
21 Zn 0.6694 0.3367 0.9820
22 Zn 0.6600 0.3369 0.4834
23 Zn 0.3386 0.6657 0.0115
24 Zn 0.3201 0.6522 0.5126
25 Si 0.3012 0.0084 0.2494
26 Si 0.7181 0.0159 0.7487
27 Si 0.3292 0.3662 0.4216
28 S 0.7103 0.7081 0.2522
29 S 0.9956 0.2942 0.2487
30 S 0.2959 0.2947 0.7506
31 S 0.9987 0.7070 0.7519
32 S 0.9593 0.3370 0.5826
33 S 0.3670 0.0342 0.5826
34 S 0.6722 0.6292 0.5837
35 S 0.9553 0.6239 0.0826
36 S 0.6687 0.0385 0.0825
37 S 0.3745 0.3380 0.0813
38 S 0.6282 0.6653 0.9183
39 S 0.0398 0.3726 0.9187
40 S 0.3305 0.9598 0.9175
41 S 0.6271 0.9574 0.4174
42 S 0.0405 0.6636 0.4169
43 O 0.2179 0.0223 0.3107
44 O 0.8046 0.7878 0.3074
45 O 0.9687 0.1883 0.3018
46 O 0.2166 0.1878 0.8030
47 O 0.9822 0.7890 0.8052
48 O 0.8222 0.0298 0.8079
49 O 0.7682 0.9593 0.6869
50 O 0.1927 0.2284 0.6952
51 O 0.0437 0.8139 0.6976
52 O 0.7777 0.8169 0.1988
53 O 0.0309 0.2261 0.1942
54 O 0.1907 0.9610 0.1876
55 O 0.8775 0.3559 0.6361
56 O 0.4809 0.1180 0.6343
57 O 0.6458 0.5150 0.6350
58 O 0.8759 0.5160 0.1358
59 O 0.6382 0.1174 0.1353
60 O 0.4778 0.3629 0.1355
61 O 0.4550 0.3083 0.0287
62 O 0.8548 0.5423 0.0281
63 O 0.6987 0.1472 0.0286
64 O 0.4416 0.1377 0.5268
65 O 0.6892 0.5525 0.5274
66 O 0.8504 0.3098 0.5288
67 O 0.5467 0.6902 0.9708
68 O 0.1387 0.4525 0.9745
69 O 0.3078 0.8588 0.9726
70 O 0.5502 0.8564 0.4725
71 O 0.3110 0.4518 0.4815
72 O 0.1531 0.7026 0.4697
73 O 0.1345 0.6486 0.3636
74 O 0.5070 0.8672 0.3647
75 O 0.3547 0.5021 0.3646
76 O 0.1362 0.4869 0.8666
77 O 0.3494 0.8602 0.8654
78 O 0.5123 0.6487 0.8645
79 O 0.0105 0.8124 0.4101
80 O 0.7941 0.9635 0.4082
81 O 0.1618 0.1744 0.4160
82 O 0.0283 0.2028 0.9135
83 O 0.1740 0.9747 0.9081
84 O 0.8004 0.8178 0.9113
85 O 0.9826 0.1802 0.5861
86 O 0.1938 0.0220 0.5896
87 O 0.8281 0.8049 0.5874
88 O 0.9781 0.8013 0.0856
89 O 0.8287 0.0233 0.0900
90 O 0.1954 0.1808 0.0856
91 O 0.6724 0.1688 0.7457
92 O 0.4751 0.3313 0.7444
93 O 0.8480 0.5346 0.7446
94 O 0.6879 0.5354 0.2452
95 O 0.8525 0.3302 0.2429
96 O 0.4959 0.1698 0.2459
97 O 0.6321 0.5019 0.9192
98 O 0.8671 0.3614 0.9199
99 O 0.4918 0.1283 0.9189
100 O 0.6394 0.1283 0.4194
101 O 0.5123 0.3587 0.4187
102 O 0.8727 0.5023 0.4200
103 O 0.3482 0.4918 0.0758
104 O 0.1365 0.6440 0.0787
105 O 0.5079 0.8647 0.0760
106 O 0.3548 0.8610 0.5769
107 O 0.5130 0.6510 0.5813
108 O 0.1372 0.4928 0.5796
109 O 0.3164 0.8251 0.2619
110 O 0.5259 0.6881 0.2575
111 O 0.1627 0.4717 0.2576
112 O 0.3061 0.4729 0.7601
113 O 0.1598 0.6830 0.7607
114 O 0.5137 0.8286 0.7631

* space group: P1 (1)
* formation energy: -2.103 eV/atom

[3]
A plane-wave DFT calculation with GGA-PBE was carried out for crystalline Hg2TeBr3 at its relaxed geometry.

a = 10.2822 Å, b = 7.8578 Å, c = 12.3206 Å
α = 56.50°, β = 90.00°, γ = 90.00°
Element x y z (fractional)
1 Hg 0.5487 0.4767 0.8409
2 Hg 0.8108 0.0018 0.9984
3 Hg 0.6892 0.0018 0.4984
4 Hg 0.0487 0.5233 0.6591
5 Hg 0.1892 0.9982 0.0016
6 Hg 0.3108 0.9982 0.5016
7 Hg 0.4513 0.5233 0.1591
8 Hg 0.9513 0.4767 0.3409
9 Te 0.9297 0.0963 0.3809
10 Te 0.5703 0.0963 0.8809
11 Te 0.0703 0.9037 0.6191
12 Te 0.4297 0.9037 0.1191
13 Br 0.5013 0.2569 0.4879
14 Br 0.8456 0.3407 0.6364
15 Br 0.7614 0.7559 0.2686
16 Br 0.9987 0.2569 0.9879
17 Br 0.3456 0.6593 0.8636
18 Br 0.7386 0.7559 0.7686
19 Br 0.6544 0.3407 0.1364
20 Br 0.1544 0.6593 0.3636
21 Br 0.2386 0.2441 0.7314
22 Br 0.0013 0.7431 0.0121
23 Br 0.4987 0.7431 0.5121
24 Br 0.2614 0.2441 0.2314

* space group: P2_1/c (14)
* formation energy: -0.664 eV/atom

[4]
A plane-wave DFT calculation with GGA-PBE was carried out for crystalline ErGaPt at its relaxed geometry.

a = 4.4391 Å, b = 6.8378 Å, c = 7.6637 Å
α = 90.00°, β = 90.00°, γ = 90.00°
Element x y z (fractional)
1 Er 0.2500 0.9848 0.3027
2 Er 0.2500 0.4848 0.1973
3 Er 0.7500 0.0152 0.6973
4 Er 0.7500 0.5152 0.8027
5 Ga 0.2500 0.3244 0.5722
6 Ga 0.2500 0.8244 0.9278
7 Ga 0.7500 0.6756 0.4278
8 Ga 0.7500 0.1756 0.0722
9 Pt 0.2500 0.2211 0.8990
10 Pt 0.2500 0.7211 0.6010
11 Pt 0.7500 0.7789 0.1010
12 Pt 0.7500 0.2789 0.3990

* space group: Pnma (62)
* formation energy: -1.110 eV/atom

[5]
A plane-wave DFT calculation with GGA-PBE was carried out for crystalline ErSeF at its relaxed geometry.

a = 4.0790 Å, b = 9.9561 Å, c = 18.8798 Å
α = 90.00°, β = 90.00°, γ = 90.00°
Element x y z (fractional)
1 Er 0.2500 0.7568 0.2405
2 Er 0.7500 0.2432 0.7595
3 Er 0.2500 0.2568 0.2595
4 Er 0.7500 0.7432 0.7405
5 Er 0.2500 0.5767 0.5814
6 Er 0.7500 0.4233 0.4186
7 Er 0.2500 0.0767 0.9186
8 Er 0.7500 0.9233 0.0814
9 Er 0.2500 0.5909 0.9168
10 Er 0.7500 0.4091 0.0832
11 Er 0.2500 0.0909 0.5832
12 Er 0.7500 0.9091 0.4168
13 Se 0.7500 0.6651 0.3417
14 Se 0.2500 0.3349 0.6583
15 Se 0.7500 0.1651 0.1583
16 Se 0.2500 0.8349 0.8417
17 Se 0.7500 0.6658 0.0139
18 Se 0.2500 0.3342 0.9861
19 Se 0.7500 0.1658 0.4861
20 Se 0.2500 0.8342 0.5139
21 Se 0.7500 0.0040 0.6774
22 Se 0.2500 0.9960 0.3226
23 Se 0.7500 0.5040 0.8226
24 Se 0.2500 0.4960 0.1774
25 F 0.2500 0.7015 0.6946
26 F 0.7500 0.2985 0.3054
27 F 0.2500 0.2015 0.8054
28 F 0.7500 0.7985 0.1946
29 F 0.2500 0.3699 0.3621
30 F 0.7500 0.6301 0.6379
31 F 0.2500 0.8699 0.1379
32 F 0.7500 0.1301 0.8621
33 F 0.2500 0.4733 0.4732
34 F 0.7500 0.5267 0.5268
35 F 0.2500 0.9733 0.0268
36 F 0.7500 0.0267 0.9732

* space group: Pnma (62)
* formation energy: -3.004 eV/atom

[6]
A plane-wave DFT calculation with GGA-PBE was carried out for crystalline MgTi2Si2O8 at its relaxed geometry.

a = 6.3375 Å, b = 5.6223 Å, c = 5.6223 Å
α = 110.03°, β = 94.76°, γ = 120.01°
Element x y z (fractional)
1 Mg 0.5000 0.5000 0.5000
2 Ti 0.8709 0.1354 0.2356
3 Ti 0.1291 0.8646 0.7644
4 Si 0.6848 0.3777 0.8071
5 Si 0.3152 0.6223 0.1929
6 O 0.7480 0.2520 0.9960
7 O 0.2052 0.6141 0.4546
8 O 0.2052 0.2506 0.0911
9 O 0.3728 0.2044 0.6684
10 O 0.2520 0.7480 0.0040
11 O 0.7948 0.3859 0.5454
12 O 0.7948 0.7494 0.9089
13 O 0.6272 0.7956 0.3316

* space group: C2/m (12)
* formation energy: -2.922 eV/atom

[7]
A plane-wave DFT calculation with GGA-PBE was carried out for crystalline CuGeI3 at its relaxed geometry.

a = 6.3256 Å, b = 6.3256 Å, c = 4.3331 Å
α = 87.32°, β = 87.32°, γ = 102.59°
Element x y z (fractional)
1 Cu 0.9614 0.9614 0.4612
2 Ge 0.3911 0.3911 0.8982
3 I 0.6278 0.6278 0.3764
4 I 0.8370 0.2067 0.8881
5 I 0.2067 0.8370 0.8881

* space group: Cm (8)
* formation energy: -0.239 eV/atom

[8]
A plane-wave DFT calculation with GGA-PBE was carried out for crystalline Na3Sc at its relaxed geometry.

a = 5.0359 Å, b = 5.0359 Å, c = 5.0359 Å
α = 90.00°, β = 90.00°, γ = 90.00°
Element x y z (fractional)
1 Na 0.0000 0.5000 0.5000
2 Na 0.5000 0.0000 0.5000
3 Na 0.5000 0.5000 0.0000
4 Sc 0.0000 0.0000 0.0000

* space group: Pm-3m (221)
* formation energy: 0.427 eV/atom